A plane-wave DFT calculation with PBE-GGA was carried out for a relaxed Nb3Se10Cl3 crystal.

abc: 7.8117 19.2929 12.5184
angles: 90.00 97.69 90.00
Space group P2_1/m (No. 11)
Asymmetric unit:
Nb1 0.1532 0.1488 0.1579
Nb2 0.2456 0.0003 0.2507
Nb3 0.3319 0.6484 0.3448
Se1 0.0466 0.6112 0.2144
Se2 0.0486 0.5740 0.7396
Se3 0.0822 0.5713 0.3955
Se4 0.2079 0.1133 0.3665
Se5 0.2128 0.0357 0.0428
Se6 0.2667 0.2500 0.0298
Se7 0.3701 0.7500 0.1978
Se8 0.3952 0.2500 0.2092
Se9 0.4210 0.2500 0.6499
Se10 0.4490 0.0858 0.1493
Se11 0.4600 0.0370 0.6296
Se12 0.4929 0.5875 0.1995
Cl1 0.0179 0.7500 0.7731
Cl2 0.1085 0.6496 0.9848
Cl3 0.1420 0.7500 0.3970
Cl4 0.4166 0.6490 0.5466


A plane-wave DFT calculation with PBE-GGA was carried out for a relaxed Nb3Se5Cl7 crystal.

abc: 8.2308 12.7933 8.5908
angles: 90.00 109.30 90.00
Space group P2_1/m (No. 11)
Asymmetric unit:
Nb1 0.0260 0.1102 0.0591
Nb2 0.3981 0.2500 0.4741
Se1 0.1692 0.0258 0.8531
Se2 0.2740 0.5318 0.1237
Se3 0.4198 0.2500 0.7474
Cl1 0.0556 0.7500 0.1744
Cl2 0.1551 0.1169 0.3860
Cl3 0.1570 0.7500 0.8590
Cl4 0.2784 0.2500 0.1252
Cl5 0.4104 0.6187 0.5411


A plane-wave DFT calculation with PBE-GGA was carried out for a relaxed Nb3TeCl7 crystal.

abc: 6.9857 6.9857 13.7921
angles: 90.00 90.00 120.00
Space group P-3m1 (No. 164)
Asymmetric unit:
Nb1 0.0538 0.5269 0.2414
Te1 0.3333 0.6667 0.3966
Cl1 0.1675 0.3351 0.6654
Cl2 0.1693 0.3386 0.1263
Cl3 0.3333 0.6667 0.8582


A plane-wave DFT calculation with PBE-GGA was carried out for a relaxed Nb6TlCl15 crystal.

abc: 18.2022 13.7043 9.4828
angles: 90.00 90.00 90.00
Space group Pmma (No. 51)
Asymmetric unit:
Nb1 0.0289 0.1080 0.1461
Nb2 0.1052 0.0000 0.9208
Nb3 0.1685 0.3915 0.3333
Nb4 0.2500 0.5000 0.1188
Nb5 0.2500 0.5000 0.5495
Tl1 0.2500 0.2448 0.8175
Cl1 0.0000 0.2513 0.0000
Cl2 0.0600 0.5000 0.3304
Cl3 0.0651 0.2497 0.3329
Cl4 0.0689 0.0000 0.3405
Cl5 0.0920 0.1254 0.7333
Cl6 0.1523 0.3762 0.5922
Cl7 0.1544 0.3764 0.0750
Cl8 0.1590 0.1233 0.0788
Cl9 0.2500 0.0000 0.8137
Cl10 0.2500 0.2479 0.3447
Cl11 0.2500 0.5000 0.8328


A plane-wave DFT calculation with PBE-GGA was carried out for a relaxed Nb6Tl2VCl18 crystal.

abc: 9.2931 9.2931 25.5490
angles: 90.00 90.00 120.00
Space group R-3 (No. 148, hexagonal axes)
Asymmetric unit:
Nb1 0.0446 0.2015 0.0470
Tl1 0.0000 0.0000 0.2220
V1 0.0000 0.0000 0.5000
Cl1 0.0266 0.2369 0.4425
Cl2 0.0485 0.2457 0.6676
Cl3 0.0514 0.2355 0.8892


A plane-wave DFT calculation with PBE-GGA was carried out for a relaxed Nb3TlVCl11 crystal.

abc: 13.6756 6.8893 17.2203
angles: 90.00 90.00 90.00
Space group Pnma (No. 62)
Asymmetric unit:
Nb1 0.1900 0.2500 0.1477
Nb2 0.2476 0.0443 0.0130
Tl1 0.0213 0.7500 0.2673
V1 0.1802 0.2500 0.3360
Cl1 0.0418 0.2500 0.2465
Cl2 0.0905 0.0047 0.0809
Cl3 0.1097 0.5039 0.4185
Cl4 0.1434 0.7500 0.5915
Cl5 0.1589 0.2500 0.9198
Cl6 0.1772 0.2500 0.5840
Cl7 0.1799 0.7500 0.9280
Cl8 0.2475 0.5095 0.7478


Formation energy / eV/atom: -0.832 -1.268 -1.591 -1.663 -1.610 -1.611
DFT total energy / eV/atom: -5.142 -5.029 -5.418 -5.367 -5.189 -5.069